(1)
# MoPRu (PBE, relaxed)
# Theoretical density (Mg/m³): 9.13
# Distance to the lowest polymorph of the same formula (meV/atom): 36
# Size of the total moment (μB/f.u.): 0.5
# Formation energy from the elements (eV/atom): -0.488
data_MoPRu
_chemical_formula_sum 'Mo3 P3 Ru3'
_symmetry_space_group_name_H-M 'P -6 2 m'
_symmetry_Int_Tables_number 189
_symmetry_space_group_name_Hall 'P -6 -2'
_cell_length_a 6.0755
_cell_length_b 6.0755
_cell_length_c 3.8924
_cell_angle_alpha 90.00
_cell_angle_beta 90.00
_cell_angle_gamma 120.00
loop_
_atom_site_label
_atom_site_fract_x
_atom_site_fract_y
_atom_site_fract_z
_atom_site_occupancy
Mo1 0.0000 0.4063 0.0000 1
P1 0.0000 0.0000 0.0000 1
P2 0.3333 0.6667 0.5000 1
Ru1 0.0000 0.7390 0.5000 1

(2)
# MoPRu (PBE, relaxed)
# Theoretical density (Mg/m³): 9.20
# Distance to the lowest polymorph of the same formula (meV/atom): 0
# Formation energy from the elements (eV/atom): -0.525
data_MoPRu
_chemical_formula_sum 'Mo4 P4 Ru4'
_symmetry_space_group_name_H-M 'P n m a'
_symmetry_Int_Tables_number 62
_symmetry_space_group_name_Hall '-P 2ac 2n'
_cell_length_a 6.045
_cell_length_b 3.902
_cell_length_c 6.979
_cell_angle_alpha 90.00
_cell_angle_beta 90.00
_cell_angle_gamma 90.00
loop_
_atom_site_label
_atom_site_fract_x
_atom_site_fract_y
_atom_site_fract_z
_atom_site_occupancy
Mo1 0.026 0.250 0.169 1
P1 0.244 0.750 0.383 1
Ru1 0.141 0.250 0.568 1